## HgSb2O6 (PBE)

Data for crystalline HgSb2O6 at its relaxed geometry.

Lattice parameters (Å, degrees): 5.3585 5.3585 5.0530 90.00 90.00 120.00
Space group P-31m (No. 162)
Inequivalent atoms, fractional coordinates:
Hg: 0.0000 0.0000 0.0000
Sb: 0.3333 0.6667 0.5000
O: 0.0000 0.3710 0.2816

## Properties
Energy of formation   -1.621 eV per atom
Energy   -0.398 Ry per atom
Energy with MP2020 corrections   -5.87 eV per atom
E above lowest polymorph   0.00 kJ per mole of atoms